Density functional theory data (PBE-GGA) for an optimized crystal structure of DyRe3O16.

Raw total energy ... -6.9650 eV per atom
Energy with MP2020 corrections ... -7.51 eV/atom
ρ ... 4.5 g cm⁻³
Calculated formation energy ... -1.459 eV/atom

Lattice parameters (Å, degrees): 14.6784 8.6158 11.4410 90.00 90.00 90.00
Element x y z (fractional)
Dy 0.1723 0.2316 0.0000
Dy 0.3277 0.7316 0.5000
Dy 0.6723 0.2684 0.0000
Dy 0.8277 0.7684 0.5000
Re 0.0823 0.6879 0.3585
Re 0.1705 0.9026 0.7555
Re 0.1829 0.3992 0.6682
Re 0.3171 0.8992 0.1682
Re 0.3295 0.4026 0.2555
Re 0.4177 0.1879 0.8585
Re 0.5823 0.8121 0.3585
Re 0.6705 0.5974 0.7555
Re 0.6829 0.1008 0.6682
Re 0.8171 0.6008 0.1682
Re 0.8295 0.0974 0.2555
Re 0.9177 0.3121 0.8585
O 0.0268 0.2540 0.9128
O 0.0743 0.9724 0.6857
O 0.0745 0.4665 0.6376
O 0.0769 0.9867 0.0272
O 0.0778 0.2418 0.1723
O 0.0861 0.4889 0.3372
O 0.0873 0.0894 0.4131
O 0.1066 0.7802 0.2272
O 0.1206 0.4982 0.0184
O 0.1441 0.7285 0.8220
O 0.1679 0.7430 0.4594
O 0.1903 0.3589 0.8203
O 0.1988 0.2281 0.5902
O 0.2026 0.0371 0.8665
O 0.2367 0.0425 0.1238
O 0.2396 0.3719 0.1531
O 0.2604 0.8719 0.6531
O 0.2633 0.5425 0.6238
O 0.2974 0.5371 0.3665
O 0.3012 0.7281 0.0902
O 0.3097 0.8589 0.3203
O 0.3321 0.2430 0.9594
O 0.3559 0.2285 0.3220
O 0.3794 0.9982 0.5184
O 0.3934 0.2802 0.7272
O 0.4127 0.5894 0.9131
O 0.4139 0.9889 0.8372
O 0.4222 0.7418 0.6723
O 0.4231 0.4867 0.5272
O 0.4255 0.9665 0.1376
O 0.4257 0.4724 0.1857
O 0.4732 0.7540 0.4128
O 0.5268 0.2460 0.9128
O 0.5743 0.5276 0.6857
O 0.5745 0.0335 0.6376
O 0.5769 0.5133 0.0272
O 0.5778 0.2582 0.1723
O 0.5861 0.0111 0.3372
O 0.5873 0.4106 0.4131
O 0.6066 0.7198 0.2272
O 0.6206 0.0018 0.0184
O 0.6441 0.7715 0.8220
O 0.6679 0.7570 0.4594
O 0.6903 0.1411 0.8203
O 0.6988 0.2719 0.5902
O 0.7026 0.4629 0.8665
O 0.7367 0.4575 0.1238
O 0.7396 0.1281 0.1531
O 0.7604 0.6281 0.6531
O 0.7633 0.9575 0.6238
O 0.7974 0.9629 0.3665
O 0.8012 0.7719 0.0902
O 0.8097 0.6411 0.3203
O 0.8321 0.2570 0.9594
O 0.8559 0.2715 0.3220
O 0.8794 0.5018 0.5184
O 0.8934 0.2198 0.7272
O 0.9127 0.9106 0.9131
O 0.9139 0.5111 0.8372
O 0.9222 0.7582 0.6723
O 0.9231 0.0133 0.5272
O 0.9255 0.5335 0.1376
O 0.9257 0.0276 0.1857
O 0.9732 0.7460 0.4128



Density functional theory data (PBE-GGA) for an optimized crystal structure of SnH16Cl4O8.

Raw total energy ... -4.6641 eV per atom
Energy with MP2020 corrections ... -4.85 eV/atom
ρ ... 1.9 g cm⁻³
Calculated formation energy ... -1.224 eV/atom

Lattice parameters (Å, degrees): 8.9481 8.9481 12.8227 116.42 116.42 52.41
Element x y z (fractional)
Sn 0.1367 0.8633 0.7500
Sn 0.8633 0.1367 0.2500
H 0.0073 0.6749 0.4250
H 0.0091 0.3944 0.7173
H 0.0174 0.8433 0.3587
H 0.0461 0.5444 0.9139
H 0.1231 0.8002 0.1189
H 0.1470 0.3111 0.1603
H 0.1567 0.9826 0.1413
H 0.1630 0.5267 0.1123
H 0.1998 0.8769 0.3811
H 0.3111 0.1470 0.6603
H 0.3251 0.9927 0.0750
H 0.3400 0.4995 0.0881
H 0.3944 0.0091 0.2173
H 0.4556 0.9539 0.5861
H 0.4733 0.8370 0.3877
H 0.4995 0.3400 0.5881
H 0.5005 0.6600 0.4119
H 0.5267 0.1630 0.6123
H 0.5444 0.0461 0.4139
H 0.6056 0.9909 0.7827
H 0.6600 0.5005 0.9119
H 0.6749 0.0073 0.9250
H 0.6889 0.8530 0.3397
H 0.8002 0.1231 0.6189
H 0.8370 0.4733 0.8877
H 0.8433 0.0174 0.8587
H 0.8530 0.6889 0.8397
H 0.8769 0.1998 0.8811
H 0.9539 0.4556 0.0861
H 0.9826 0.1567 0.6413
H 0.9909 0.6056 0.2827
H 0.9927 0.3251 0.5750
Cl 0.0625 0.2818 0.3785
Cl 0.2818 0.0625 0.8785
Cl 0.3356 0.6386 0.8825
Cl 0.3614 0.6644 0.6175
Cl 0.6386 0.3356 0.3825
Cl 0.6644 0.3614 0.1175
Cl 0.7182 0.9375 0.1215
Cl 0.9375 0.7182 0.6215
O 0.0535 0.9341 0.3609
O 0.0552 0.2788 0.6479
O 0.0648 0.4499 0.1563
O 0.0659 0.9465 0.1391
O 0.1972 0.5748 0.0741
O 0.2788 0.0552 0.1479
O 0.4252 0.8028 0.4259
O 0.4499 0.0648 0.6563
O 0.5501 0.9352 0.3437
O 0.5748 0.1972 0.5741
O 0.7212 0.9448 0.8521
O 0.8028 0.4252 0.9259
O 0.9341 0.0535 0.8609
O 0.9352 0.5501 0.8437
O 0.9448 0.7212 0.3521
O 0.9465 0.0659 0.6391



Density functional theory data (PBE-GGA) for an optimized crystal structure of Na3ScGaP3O12.

Raw total energy ... -6.8443 eV per atom
Energy with MP2020 corrections ... -7.26 eV/atom
ρ ... 3.1 g cm⁻³
Calculated formation energy ... -2.809 eV/atom

Lattice parameters (Å, degrees): 8.8856 8.8944 22.1585 89.91 89.96 60.06
Element x y z (fractional)
Na 0.0000 0.0000 0.0000
Na 0.0002 0.0004 0.4975
Na 0.0017 0.6358 0.7485
Na 0.0327 0.3031 0.5798
Na 0.3022 0.6670 0.5797
Na 0.3030 0.0320 0.0811
Na 0.3093 0.3474 0.1643
Na 0.3323 0.6979 0.9161
Na 0.3466 0.3099 0.6631
Na 0.3648 0.6369 0.2480
Na 0.6329 0.0025 0.2488
Na 0.6376 0.3640 0.7480
Na 0.6663 0.6676 0.3322
Na 0.6670 0.3026 0.0811
Na 0.6675 0.6662 0.8330
Na 0.6976 0.9679 0.9162
Na 0.7001 0.3324 0.4149
Na 0.9653 0.7000 0.4151
Sc 0.0013 0.0076 0.8516
Sc 0.0068 0.0015 0.3509
Sc 0.3300 0.3287 0.8153
Sc 0.6589 0.6772 0.6807
Sc 0.6766 0.6597 0.1814
Sc 0.9953 0.0016 0.6443
Ga 0.0020 0.9953 0.1476
Ga 0.3260 0.3390 0.0155
Ga 0.3277 0.3309 0.3144
Ga 0.3379 0.3268 0.5140
Ga 0.6598 0.6755 0.4794
Ga 0.6742 0.6614 0.9829
P 0.0004 0.2963 0.7451
P 0.0062 0.7043 0.2494
P 0.0348 0.6244 0.9165
P 0.0418 0.3382 0.4170
P 0.2894 0.0084 0.2452
P 0.2963 0.7049 0.7485
P 0.3387 0.0357 0.9204
P 0.3386 0.6190 0.4155
P 0.3674 0.6674 0.0800
P 0.3760 0.9649 0.5772
P 0.6177 0.0413 0.4138
P 0.6247 0.3396 0.9182
P 0.6613 0.3756 0.5772
P 0.6695 0.9633 0.0800
P 0.7044 0.0009 0.7500
P 0.7042 0.2919 0.2479
P 0.9628 0.6633 0.5773
P 0.9645 0.3704 0.0795
O 0.0141 0.1804 0.4115
O 0.0164 0.8084 0.9129
O 0.0207 0.1944 0.6865
O 0.0407 0.7923 0.1943
O 0.1117 0.5246 0.8570
O 0.1280 0.3712 0.3616
O 0.1469 0.3125 0.4753
O 0.1465 0.4974 0.5738
O 0.1492 0.3456 0.0733
O 0.1602 0.3207 0.7512
O 0.1608 0.5348 0.9697
O 0.1724 0.5236 0.2550
O 0.1733 0.7996 0.4105
O 0.1801 0.0092 0.9141
O 0.1839 0.0319 0.1866
O 0.1856 0.7910 0.6915
O 0.1879 0.8350 0.0866
O 0.1922 0.9832 0.5824
O 0.2037 0.9737 0.2998
O 0.2088 0.8106 0.8059
O 0.3056 0.5366 0.4720
O 0.3122 0.1694 0.2528
O 0.3131 0.1448 0.9775
O 0.3131 0.5224 0.7520
O 0.3513 0.1492 0.5721
O 0.3542 0.5006 0.0734
O 0.3690 0.1217 0.8648
O 0.3702 0.5052 0.3581
O 0.4534 0.7016 0.0240
O 0.4598 0.8426 0.5227
O 0.4736 0.8440 0.2411
O 0.4818 0.6778 0.7445
O 0.4818 0.8832 0.6348
O 0.4833 0.6343 0.1364
O 0.4950 0.3613 0.5719
O 0.5038 0.1475 0.0750
O 0.5047 0.8520 0.9238
O 0.5055 0.6337 0.4207
O 0.5139 0.3693 0.8604
O 0.5147 0.1204 0.3546
O 0.5203 0.3085 0.2523
O 0.5252 0.1663 0.7536
O 0.5330 0.1630 0.4682
O 0.5375 0.3069 0.9736
O 0.6320 0.4864 0.6347
O 0.6371 0.5068 0.9241
O 0.6368 0.8808 0.1362
O 0.6440 0.8556 0.4200
O 0.6761 0.4777 0.2429
O 0.6931 0.4633 0.5216
O 0.6934 0.8340 0.7436
O 0.6952 0.8521 0.0229
O 0.7904 0.1771 0.1911
O 0.7962 0.0273 0.6951
O 0.8030 0.0211 0.4105
O 0.8045 0.1738 0.9130
O 0.8108 0.2082 0.3054
O 0.8121 0.9753 0.8079
O 0.8274 0.1959 0.5821
O 0.8301 0.9885 0.0867
O 0.8358 0.4787 0.7423
O 0.8393 0.6928 0.2420
O 0.8416 0.4544 0.0247
O 0.8503 0.6491 0.9232
O 0.8510 0.6883 0.5205
O 0.8563 0.5041 0.4201
O 0.8802 0.6359 0.6346
O 0.8822 0.4805 0.1362
O 0.9727 0.2058 0.7998
O 0.9750 0.8139 0.3069
O 0.9812 0.1869 0.0857
O 0.9906 0.8217 0.5819



Density functional theory data (PBE-GGA) for an optimized crystal structure of Eu2As3Pt.

Raw total energy ... -7.6568 eV per atom
ρ ... 8.4 g cm⁻³
Calculated formation energy ... -0.896 eV/atom

Lattice parameters (Å, degrees): 4.4299 4.4299 8.4687 90.00 90.00 120.00
Element x y z (fractional)
Eu 0.0000 0.0000 0.2417
Eu 0.0000 0.0000 0.7583
As 0.3333 0.6667 0.5000
As 0.6667 0.3333 0.0000
As 0.6667 0.3333 0.5000
Pt 0.3333 0.6667 0.0000



Density functional theory data (PBE-GGA) for an optimized crystal structure of Tb3PO7.

Raw total energy ... -8.1921 eV per atom
Energy with MP2020 corrections ... -8.63 eV/atom
ρ ... 6.6 g cm⁻³
Calculated formation energy ... -3.725 eV/atom

Lattice parameters (Å, degrees): 9.0442 9.0442 12.0349 102.74 102.74 90.59
Element x y z (fractional)
Tb 0.1245 0.5175 0.7716
Tb 0.1396 0.4896 0.4604
Tb 0.1469 0.7939 0.3242
Tb 0.1521 0.5020 0.0821
Tb 0.1562 0.8438 0.0000
Tb 0.1604 0.8440 0.6594
Tb 0.4824 0.7977 0.8834
Tb 0.4865 0.7979 0.5421
Tb 0.4896 0.1396 0.4604
Tb 0.4953 0.8484 0.2180
Tb 0.5020 0.1521 0.0821
Tb 0.5175 0.1245 0.7716
Tb 0.7939 0.1469 0.3242
Tb 0.7977 0.4824 0.8834
Tb 0.7979 0.4865 0.5421
Tb 0.8438 0.1562 0.0000
Tb 0.8440 0.1604 0.6594
Tb 0.8484 0.4953 0.2180
P 0.1520 0.1520 0.5043
P 0.1571 0.1571 0.8832
P 0.4816 0.4816 0.6598
P 0.4883 0.4883 0.0375
P 0.8172 0.8172 0.4513
P 0.8260 0.8260 0.0897
O 0.0292 0.6090 0.6077
O 0.0345 0.6122 0.9351
O 0.0448 0.0448 0.3943
O 0.0497 0.0497 0.7762
O 0.0593 0.2582 0.5792
O 0.1116 0.5300 0.2708
O 0.1219 0.1219 0.9968
O 0.1266 0.3244 0.8808
O 0.2165 0.7660 0.8270
O 0.2384 0.7249 0.4932
O 0.2440 0.7468 0.1599
O 0.2519 0.2519 0.4526
O 0.2582 0.0593 0.5792
O 0.3134 0.5111 0.6584
O 0.3244 0.1266 0.8808
O 0.3801 0.5790 0.9622
O 0.3899 0.3899 0.0919
O 0.3980 0.8955 0.3829
O 0.4039 0.9156 0.0487
O 0.4281 0.8745 0.7154
O 0.5111 0.3134 0.6584
O 0.5234 0.5234 0.5505
O 0.5300 0.1116 0.2708
O 0.5790 0.3801 0.9622
O 0.5844 0.5844 0.7716
O 0.5971 0.5971 0.1453
O 0.6090 0.0292 0.6077
O 0.6122 0.0345 0.9351
O 0.7073 0.7073 0.4846
O 0.7181 0.9164 0.3795
O 0.7249 0.2384 0.4932
O 0.7252 0.7252 0.9770
O 0.7258 0.9251 0.1609
O 0.7468 0.2440 0.1599
O 0.7660 0.2165 0.8270
O 0.8745 0.4281 0.7154
O 0.8955 0.3980 0.3829
O 0.9156 0.4039 0.0487
O 0.9164 0.7181 0.3795
O 0.9186 0.9186 0.5638
O 0.9251 0.7258 0.1609
O 0.9361 0.9361 0.0571



Density functional theory data (PBE-GGA) for an optimized crystal structure of PdI2O6.

Raw total energy ... -4.4986 eV per atom
Energy with MP2020 corrections ... -4.96 eV/atom
ρ ... 5.3 g cm⁻³
Calculated formation energy ... -0.744 eV/atom

Lattice parameters (Å, degrees): 5.9458 6.2348 15.3745 90.00 90.00 90.00
Element x y z (fractional)
Pd 0.0000 0.0000 0.0000
Pd 0.0000 0.5000 0.5000
Pd 0.5000 0.0000 0.5000
Pd 0.5000 0.5000 0.0000
I 0.0405 0.0950 0.3493
I 0.0405 0.4050 0.8493
I 0.4595 0.5950 0.3493
I 0.4595 0.9050 0.8493
I 0.5405 0.0950 0.1507
I 0.5405 0.4050 0.6507
I 0.9595 0.5950 0.1507
I 0.9595 0.9050 0.6507
O 0.1177 0.6716 0.6033
O 0.1177 0.8284 0.1033
O 0.1869 0.0040 0.4485
O 0.1869 0.4960 0.9485
O 0.2433 0.7345 0.2859
O 0.2433 0.7655 0.7859
O 0.2567 0.2345 0.2859
O 0.2567 0.2655 0.7859
O 0.3131 0.5040 0.4485
O 0.3131 0.9960 0.9485
O 0.3823 0.1716 0.6033
O 0.3823 0.3284 0.1033
O 0.6177 0.6716 0.8967
O 0.6177 0.8284 0.3967
O 0.6869 0.0040 0.0515
O 0.6869 0.4960 0.5515
O 0.7433 0.7345 0.2141
O 0.7433 0.7655 0.7141
O 0.7567 0.2345 0.2141
O 0.7567 0.2655 0.7141
O 0.8131 0.5040 0.0515
O 0.8131 0.9960 0.5515
O 0.8823 0.1716 0.8967
O 0.8823 0.3284 0.3967